Compound: SrCd11
Source: the Materials Project
Functional: GGA-PBE
Structure: optimized geometry

Cell lengths 9.464, 9.464, 9.464 Å; angles 99.88, 99.88, 131.05 degrees
Positions (direct):
Sr 0.750 0.250 0.500
Sr 0.500 0.500 0.000
Cd 0.995 0.320 0.916
Cd 0.125 0.875 0.750
Cd 0.680 0.595 0.675
Cd 0.405 0.320 0.325
Cd 0.680 0.005 0.084
Cd 0.845 0.430 0.175
Cd 0.405 0.080 0.084
Cd 0.000 0.000 0.000
Cd 0.845 0.670 0.416
Cd 0.250 0.750 0.500
Cd 0.330 0.745 0.175
Cd 0.125 0.875 0.250
Cd 0.255 0.430 0.584
Cd 0.570 0.745 0.416
Cd 0.995 0.080 0.675
Cd 0.920 0.005 0.325
Cd 0.330 0.155 0.584
Cd 0.255 0.670 0.825
Cd 0.570 0.155 0.825
Cd 0.920 0.595 0.916
Cd 0.625 0.875 0.750
Cd 0.125 0.375 0.250

Properties
Energy of formation, eV per atom: -0.125

---

Compound: BaGaSn
Source: the Materials Project
Functional: GGA-PBE
Structure: optimized geometry

Cell lengths 4.674, 4.674, 10.555 Å; angles 90.00, 90.00, 120.00 degrees
Positions (direct):
Ba 0.000 0.000 0.233
Ba 0.000 0.000 0.767
Ga 0.333 0.667 0.007
Ga 0.667 0.333 0.993
Sn 0.667 0.333 0.555
Sn 0.333 0.667 0.445

Properties
Energy of formation, eV per atom: -0.513

---

Compound: Ca3Re2N4
Source: the Materials Project
Functional: GGA-PBE
Structure: optimized geometry

Cell lengths 7.072, 9.190, 5.367 Å; angles 90.00, 93.61, 130.53 degrees
Positions (direct):
Ca 0.212 0.936 0.019
Ca 0.788 0.724 0.481
Ca 0.788 0.064 0.981
Ca 0.212 0.276 0.519
Ca 0.000 0.566 0.750
Ca 0.000 0.434 0.250
Re 0.519 0.148 0.563
Re 0.481 0.629 0.937
Re 0.481 0.852 0.437
Re 0.519 0.371 0.063
N 0.221 0.872 0.560
N 0.779 0.652 0.940
N 0.779 0.128 0.440
N 0.221 0.348 0.060
N 0.659 0.254 0.908
N 0.341 0.595 0.592
N 0.341 0.746 0.092
N 0.659 0.405 0.408

Properties
Total energy after the MP2020 corrections, eV/f.u.: -69.53
Energy of formation, eV per atom: -0.586

---

Compound: Rb3TlCl6
Source: the Materials Project
Functional: GGA-PBE
Structure: optimized geometry

Cell lengths 8.082, 8.082, 8.082 Å; angles 60.00, 60.00, 60.00 degrees
Positions (direct):
Rb 0.750 0.750 0.750
Rb 0.250 0.250 0.250
Rb 0.500 0.500 0.500
Tl 0.000 0.000 0.000
Cl 0.771 0.229 0.229
Cl 0.229 0.229 0.771
Cl 0.229 0.771 0.771
Cl 0.229 0.771 0.229
Cl 0.771 0.229 0.771
Cl 0.771 0.771 0.229

Properties
Total energy after the MP2020 corrections, eV/f.u.: -34.34
Energy of formation, eV per atom: -1.795

---

Compound: Mg6NbGa
Source: the Materials Project
Functional: GGA-PBE
Structure: optimized geometry

Cell lengths 4.969, 5.951, 10.995 Å; angles 90.00, 90.00, 90.00 degrees
Positions (direct):
Mg 0.500 0.249 0.422
Mg 0.500 0.751 0.422
Mg 0.000 0.758 0.083
Mg 0.000 0.242 0.083
Mg 0.000 0.000 0.325
Mg 0.000 0.500 0.325
Mg 0.500 0.749 0.922
Mg 0.500 0.251 0.922
Mg 0.000 0.258 0.583
Mg 0.000 0.742 0.583
Mg 0.000 0.500 0.825
Mg 0.000 0.000 0.825
Nb 0.500 0.000 0.173
Nb 0.500 0.500 0.673
Ga 0.500 0.500 0.168
Ga 0.500 0.000 0.668

Properties
Energy of formation, eV per atom: 0.087

---

Compound: Si
Source: the Materials Project
Functional: GGA-PBE
Structure: optimized geometry

Cell lengths 4.935, 5.392, 7.137 Å; angles 92.41, 109.81, 114.31 degrees
Positions (direct):
Si 0.713 0.048 0.841
Si 0.590 0.100 0.255
Si 0.462 0.580 0.674
Si 0.174 0.268 0.147
Si 0.234 0.141 0.760
Si 0.079 0.554 0.356
Si 0.729 0.335 0.594
Si 0.075 0.990 0.395

Properties
Energy of formation, eV per atom: 0.447

---

Compound: BaTbEuBiO6
Source: the Materials Project
Functional: GGA-PBE
Structure: optimized geometry

Cell lengths 6.141, 6.141, 6.141 Å; angles 60.00, 60.00, 60.00 degrees
Positions (direct):
Ba 0.250 0.250 0.250
Tb 0.500 0.500 0.500
Eu 0.750 0.750 0.750
Bi 0.000 0.000 0.000
O 0.755 0.245 0.245
O 0.245 0.755 0.755
O 0.755 0.245 0.755
O 0.245 0.755 0.245
O 0.755 0.755 0.245
O 0.245 0.245 0.755

Properties
Total energy after the MP2020 corrections, eV/f.u.: -77.90
Energy of formation, eV per atom: -2.751

---

Compound: Mg14AlMo
Source: the Materials Project
Functional: GGA-PBE
Structure: optimized geometry

Cell lengths 6.239, 6.162, 10.146 Å; angles 90.00, 90.00, 119.60 degrees
Positions (direct):
Mg 0.168 0.334 0.625
Mg 0.166 0.833 0.625
Mg 0.668 0.335 0.125
Mg 0.665 0.333 0.625
Mg 0.668 0.833 0.125
Mg 0.665 0.832 0.625
Mg 0.328 0.159 0.362
Mg 0.328 0.159 0.888
Mg 0.328 0.669 0.362
Mg 0.328 0.669 0.888
Mg 0.837 0.168 0.374
Mg 0.837 0.168 0.876
Mg 0.844 0.672 0.367
Mg 0.844 0.672 0.883
Al 0.163 0.332 0.125
Mo 0.163 0.832 0.125

Properties
Energy of formation, eV per atom: 0.093

---

Compound: SbNClF3
Source: the Materials Project
Functional: GGA-PBE
Structure: optimized geometry

Cell lengths 7.415, 8.956, 16.477 Å; angles 90.00, 90.00, 90.00 degrees
Positions (direct):
Sb 0.138 0.978 0.175
Sb 0.862 0.022 0.825
Sb 0.362 0.022 0.675
Sb 0.862 0.478 0.325
Sb 0.638 0.978 0.325
Sb 0.138 0.522 0.675
Sb 0.638 0.522 0.825
Sb 0.362 0.478 0.175
N 0.178 0.191 0.452
N 0.822 0.809 0.548
N 0.322 0.809 0.952
N 0.822 0.691 0.048
N 0.678 0.191 0.048
N 0.178 0.309 0.952
N 0.678 0.309 0.548
N 0.322 0.691 0.452
Cl 0.011 0.413 0.173
Cl 0.989 0.587 0.827
Cl 0.489 0.587 0.673
Cl 0.989 0.913 0.327
Cl 0.511 0.413 0.327
Cl 0.011 0.087 0.673
Cl 0.511 0.087 0.827
Cl 0.489 0.913 0.173
F 0.167 0.033 0.064
F 0.833 0.967 0.936
F 0.333 0.967 0.564
F 0.833 0.533 0.436
F 0.667 0.033 0.436
F 0.167 0.467 0.564
F 0.667 0.467 0.936
F 0.333 0.533 0.064
F 0.382 0.022 0.335
F 0.618 0.978 0.665
F 0.118 0.978 0.835
F 0.618 0.522 0.165
F 0.882 0.022 0.165
F 0.382 0.478 0.835
F 0.882 0.478 0.665
F 0.118 0.522 0.335
F 0.386 0.265 0.159
F 0.614 0.735 0.841
F 0.114 0.735 0.659
F 0.614 0.765 0.341
F 0.886 0.265 0.341
F 0.386 0.235 0.659
F 0.886 0.235 0.841
F 0.114 0.765 0.159

Properties
Total energy after the MP2020 corrections, eV/f.u.: -24.50
Energy of formation, eV per atom: -0.741

---

Compound: Tm2CuGe4O12
Source: the Materials Project
Functional: GGA-PBE
Structure: optimized geometry

Cell lengths 4.984, 7.194, 7.963 Å; angles 114.00, 87.05, 102.38 degrees
Positions (direct):
Tm 0.960 0.770 0.548
Tm 0.040 0.230 0.452
Cu 0.000 0.000 0.000
Ge 0.421 0.620 0.792
Ge 0.579 0.380 0.208
Ge 0.543 0.164 0.776
Ge 0.457 0.836 0.224
O 0.746 0.777 0.801
O 0.254 0.223 0.199
O 0.736 0.294 0.991
O 0.264 0.706 0.009
O 0.789 0.428 0.396
O 0.211 0.572 0.604
O 0.752 0.010 0.207
O 0.248 0.990 0.793
O 0.419 0.345 0.715
O 0.581 0.655 0.285
O 0.778 0.064 0.608
O 0.222 0.936 0.392

Properties
Total energy after the MP2020 corrections, eV/f.u.: -139.08
Energy of formation, eV per atom: -2.535

---

Compound: Nb2AlC
Source: the Materials Project
Functional: GGA-PBE
Structure: optimized geometry

Cell lengths 3.134, 3.134, 13.899 Å; angles 90.00, 90.00, 120.00 degrees
Positions (direct):
Nb 0.333 0.667 0.411
Nb 0.667 0.333 0.589
Nb 0.667 0.333 0.911
Nb 0.333 0.667 0.089
Al 0.333 0.667 0.750
Al 0.667 0.333 0.250
C 0.000 0.000 0.500
C 0.000 0.000 0.000

Properties
Energy of formation, eV per atom: -0.505

---

Compound: K3P3H4O11
Source: the Materials Project
Functional: GGA-PBE
Structure: optimized geometry

Cell lengths 7.640, 11.336, 26.949 Å; angles 90.00, 90.00, 90.00 degrees
Positions (direct):
K 0.767 0.491 0.035
K 0.267 0.009 0.965
K 0.233 0.991 0.465
K 0.733 0.509 0.535
K 0.233 0.509 0.965
K 0.733 0.991 0.035
K 0.767 0.009 0.535
K 0.267 0.491 0.465
K 0.730 0.482 0.207
K 0.230 0.018 0.793
K 0.270 0.982 0.293
K 0.770 0.518 0.707
K 0.270 0.518 0.793
K 0.770 0.982 0.207
K 0.730 0.018 0.707
K 0.230 0.482 0.293
K 0.866 0.028 0.376
K 0.366 0.472 0.624
K 0.134 0.528 0.124
K 0.634 0.972 0.876
K 0.134 0.972 0.624
K 0.634 0.528 0.376
K 0.866 0.472 0.876
K 0.366 0.028 0.124
P 0.610 0.244 0.460
P 0.110 0.256 0.540
P 0.390 0.744 0.040
P 0.890 0.756 0.960
P 0.390 0.756 0.540
P 0.890 0.744 0.460
P 0.610 0.256 0.960
P 0.110 0.244 0.040
P 0.595 0.249 0.292
P 0.095 0.251 0.708
P 0.405 0.749 0.208
P 0.905 0.751 0.792
P 0.405 0.751 0.708
P 0.905 0.749 0.292
P 0.595 0.251 0.792
P 0.095 0.249 0.208
P 0.839 0.222 0.123
P 0.339 0.278 0.877
P 0.161 0.722 0.377
P 0.661 0.778 0.623
P 0.161 0.778 0.877
P 0.661 0.722 0.123
P 0.839 0.278 0.623
P 0.339 0.222 0.377
H 0.950 0.198 0.277
H 0.450 0.302 0.723
H 0.050 0.698 0.223
H 0.550 0.802 0.777
H 0.050 0.802 0.723
H 0.550 0.698 0.277
H 0.950 0.302 0.777
H 0.450 0.198 0.223
H 0.932 0.245 0.973
H 0.432 0.255 0.027
H 0.068 0.745 0.527
H 0.568 0.755 0.473
H 0.068 0.755 0.027
H 0.568 0.745 0.973
H 0.932 0.255 0.473
H 0.432 0.245 0.527
H 0.885 0.328 0.345
H 0.385 0.172 0.655
H 0.115 0.828 0.155
H 0.615 0.672 0.845
H 0.115 0.672 0.655
H 0.615 0.828 0.345
H 0.885 0.172 0.845
H 0.385 0.328 0.155
H 0.537 0.382 0.124
H 0.037 0.118 0.876
H 0.463 0.882 0.376
H 0.963 0.618 0.624
H 0.463 0.618 0.876
H 0.963 0.882 0.124
H 0.537 0.118 0.624
H 0.037 0.382 0.376
O 0.603 0.376 0.456
O 0.103 0.124 0.544
O 0.397 0.876 0.044
O 0.897 0.624 0.956
O 0.397 0.624 0.544
O 0.897 0.876 0.456
O 0.603 0.124 0.956
O 0.103 0.376 0.044
O 0.562 0.379 0.286
O 0.062 0.121 0.714
O 0.438 0.879 0.214
O 0.938 0.621 0.786
O 0.438 0.621 0.714
O 0.938 0.879 0.286
O 0.562 0.121 0.786
O 0.062 0.379 0.214
O 0.774 0.209 0.310
O 0.274 0.291 0.690
O 0.226 0.709 0.190
O 0.726 0.791 0.810
O 0.226 0.791 0.690
O 0.726 0.709 0.310
O 0.774 0.291 0.810
O 0.274 0.209 0.190
O 0.693 0.134 0.120
O 0.193 0.366 0.880
O 0.307 0.634 0.380
O 0.807 0.866 0.620
O 0.307 0.866 0.880
O 0.807 0.634 0.120
O 0.693 0.366 0.620
O 0.193 0.134 0.380
O 0.786 0.183 0.453
O 0.286 0.317 0.547
O 0.214 0.683 0.047
O 0.714 0.817 0.953
O 0.214 0.817 0.547
O 0.714 0.683 0.453
O 0.786 0.317 0.953
O 0.286 0.183 0.047
O 0.804 0.352 0.121
O 0.304 0.148 0.879
O 0.196 0.852 0.379
O 0.696 0.648 0.621
O 0.196 0.648 0.879
O 0.696 0.852 0.121
O 0.804 0.148 0.621
O 0.304 0.352 0.379
O 0.563 0.178 0.241
O 0.063 0.322 0.759
O 0.437 0.678 0.259
O 0.937 0.822 0.741
O 0.437 0.822 0.759
O 0.937 0.678 0.241
O 0.563 0.322 0.741
O 0.063 0.178 0.259
O 0.946 0.189 0.173
O 0.446 0.311 0.827
O 0.054 0.689 0.327
O 0.554 0.811 0.673
O 0.054 0.811 0.827
O 0.554 0.689 0.173
O 0.946 0.311 0.673
O 0.446 0.189 0.327
O 0.978 0.181 0.080
O 0.478 0.319 0.920
O 0.022 0.681 0.420
O 0.522 0.819 0.580
O 0.022 0.819 0.920
O 0.522 0.681 0.080
O 0.978 0.319 0.580
O 0.478 0.181 0.420
O 0.035 0.304 0.489
O 0.535 0.196 0.511
O 0.965 0.804 0.011
O 0.465 0.696 0.989
O 0.965 0.696 0.511
O 0.465 0.804 0.489
O 0.035 0.196 0.989
O 0.535 0.304 0.011
O 0.933 0.404 0.357
O 0.433 0.096 0.643
O 0.067 0.904 0.143
O 0.567 0.596 0.857
O 0.067 0.596 0.643
O 0.567 0.904 0.357
O 0.933 0.096 0.857
O 0.433 0.404 0.143

Properties
Total energy after the MP2020 corrections, eV/f.u.: -135.53
Energy of formation, eV per atom: -2.284